DFT (r2SCAN) results for a geometry-optimized Y4RuBr5 structure.

a b c (Å): 11.796 11.796 17.156
angles (deg): 90.00 90.00 90.00
Positions (direct):
Ru (0.895, 0.895, 0.571)
Ru (0.605, 0.605, 0.929)
Ru (0.105, 0.105, 0.571)
Ru (0.105, 0.895, 0.429)
Ru (0.395, 0.605, 0.071)
Ru (0.395, 0.395, 0.929)
Ru (0.895, 0.105, 0.429)
Ru (0.605, 0.395, 0.071)
Br (0.400, 0.124, 0.412)
Br (0.368, 0.868, 0.250)
Br (0.868, 0.632, 0.750)
Br (0.876, 0.400, 0.588)
Br (0.132, 0.632, 0.250)
Br (0.132, 0.368, 0.750)
Br (0.626, 0.374, 0.730)
Br (0.640, 0.640, 0.590)
Br (0.400, 0.876, 0.588)
Br (0.640, 0.360, 0.410)
Br (0.874, 0.126, 0.770)
Br (0.376, 0.100, 0.088)
Br (0.900, 0.624, 0.088)
Br (0.900, 0.376, 0.912)
Br (0.140, 0.140, 0.910)
Br (0.874, 0.874, 0.230)
Br (0.876, 0.600, 0.412)
Br (0.126, 0.874, 0.770)
Br (0.376, 0.900, 0.912)
Br (0.632, 0.132, 0.250)
Br (0.860, 0.140, 0.090)
Br (0.632, 0.868, 0.750)
Br (0.374, 0.374, 0.270)
Br (0.600, 0.876, 0.412)
Br (0.100, 0.376, 0.088)
Br (0.868, 0.368, 0.250)
Br (0.860, 0.860, 0.910)
Br (0.600, 0.124, 0.588)
Br (0.624, 0.900, 0.088)
Br (0.124, 0.400, 0.412)
Br (0.374, 0.626, 0.730)
Br (0.360, 0.640, 0.410)
Br (0.124, 0.600, 0.588)
Br (0.126, 0.126, 0.230)
Br (0.624, 0.100, 0.912)
Br (0.368, 0.132, 0.750)
Br (0.626, 0.626, 0.270)
Br (0.100, 0.624, 0.912)
Br (0.140, 0.860, 0.090)
Br (0.360, 0.360, 0.590)
Y (0.887, 0.113, 0.272)
Y (0.113, 0.887, 0.272)
Y (0.130, 0.870, 0.592)
Y (0.870, 0.130, 0.592)
Y (0.617, 0.830, 0.923)
Y (0.387, 0.387, 0.772)
Y (0.383, 0.830, 0.077)
Y (0.883, 0.670, 0.577)
Y (0.830, 0.617, 0.923)
Y (0.330, 0.883, 0.423)
Y (0.113, 0.113, 0.728)
Y (0.670, 0.883, 0.577)
Y (0.370, 0.630, 0.908)
Y (0.330, 0.117, 0.577)
Y (0.887, 0.887, 0.728)
Y (0.630, 0.370, 0.908)
Y (0.617, 0.170, 0.077)
Y (0.117, 0.330, 0.577)
Y (0.117, 0.670, 0.423)
Y (0.383, 0.170, 0.923)
Y (0.870, 0.870, 0.408)
Y (0.883, 0.330, 0.423)
Y (0.630, 0.630, 0.092)
Y (0.670, 0.117, 0.423)
Y (0.170, 0.383, 0.923)
Y (0.613, 0.387, 0.228)
Y (0.613, 0.613, 0.772)
Y (0.370, 0.370, 0.092)
Y (0.830, 0.383, 0.077)
Y (0.170, 0.617, 0.077)
Y (0.387, 0.613, 0.228)
Y (0.130, 0.130, 0.408)

Results
- Volume: 29.84 Å³/atom
- Space group: P4_2/nnm (134)
- Energy: -1513.5 eV/cell
- Size of the total moment: 0.00 Bohr magnetons per cell


DFT (r2SCAN) results for a geometry-optimized SmSBr structure.

a b c (Å): 7.015 6.901 6.929
angles (deg): 80.48 90.00 90.00
Positions (direct):
Br (0.880, 0.209, 0.082)
Br (0.120, 0.791, 0.918)
Br (0.380, 0.291, 0.918)
Br (0.620, 0.709, 0.082)
S (0.260, 0.008, 0.446)
S (0.740, 0.992, 0.554)
S (0.760, 0.492, 0.554)
S (0.240, 0.508, 0.446)
Sm (0.464, 0.710, 0.681)
Sm (0.036, 0.210, 0.681)
Sm (0.964, 0.790, 0.319)
Sm (0.536, 0.290, 0.319)

Results
- Volume: 27.57 Å³/atom
- Space group: P2_1/c (14)
- Energy: -231.8 eV/cell
- Size of the total moment: 0.00 Bohr magnetons per cell


DFT (r2SCAN) results for a geometry-optimized Ta4S9Br8 structure.

a b c (Å): 9.934 9.934 9.934
angles (deg): 97.45 97.45 137.78
Positions (direct):
S (0.696, 0.696, 0.735)
S (0.878, 0.878, 0.616)
S (0.172, 0.172, 0.000)
S (0.696, 0.961, 0.000)
S (0.961, 0.696, 0.000)
S (0.262, 0.878, 0.000)
S (0.878, 0.262, 0.000)
S (0.262, 0.262, 0.384)
S (0.961, 0.961, 0.265)
Ta (0.066, 0.245, 0.179)
Ta (0.887, 0.066, 0.821)
Ta (0.066, 0.887, 0.821)
Ta (0.245, 0.066, 0.179)
Br (0.175, 0.403, 0.772)
Br (0.631, 0.403, 0.228)
Br (0.928, 0.281, 0.353)
Br (0.928, 0.575, 0.647)
Br (0.403, 0.175, 0.772)
Br (0.281, 0.928, 0.353)
Br (0.575, 0.928, 0.647)
Br (0.403, 0.631, 0.228)

Results
- Volume: 29.27 Å³/atom
- Space group: I4mm (107)
- Energy: -392.3 eV/cell
- Size of the total moment: 0.00 Bohr magnetons per cell